Compound: Na3Li3Mn2P2C2O14
Source: Materials Project
Functional: PBE with a Hubbard U
Structure: relaxed

a b c (Å): 8.4870 8.8119 8.5413
angles (deg): 86.63 106.11 89.53
Sites, in units of the cell vectors:
P 0.2611 0.5943 0.0085
P 0.7612 0.5943 0.5085
P 0.2334 0.4124 0.4810
P 0.7335 0.4124 0.9810
O 0.8947 0.1589 0.6542
O 0.0823 0.4299 0.3271
O 0.1196 0.8330 0.3417
O 0.8997 0.9366 0.1513
O 0.5697 0.0843 0.8292
O 0.0697 0.0843 0.3292
O 0.6196 0.8330 0.8417
O 0.3671 0.3096 0.4422
O 0.7957 0.5740 0.0251
O 0.8221 0.6864 0.3774
O 0.3948 0.1590 0.1542
O 0.6836 0.3235 0.1219
O 0.3997 0.9367 0.6513
O 0.4284 0.9061 0.2021
O 0.1162 0.6918 0.0334
O 0.2082 0.4319 0.9586
O 0.2957 0.5740 0.5251
O 0.4015 0.5785 0.1732
O 0.3220 0.6864 0.8773
O 0.8673 0.3096 0.9423
O 0.5825 0.4297 0.8271
O 0.6006 0.0647 0.3659
O 0.6164 0.6918 0.5335
O 0.1005 0.0647 0.8658
O 0.9284 0.9060 0.7021
O 0.9015 0.5784 0.6733
O 0.7082 0.4318 0.4586
O 0.1836 0.3234 0.6219
Mn 0.5099 0.3608 0.2639
Mn 0.0096 0.3606 0.7638
Mn 0.9873 0.6455 0.2247
Mn 0.4873 0.6454 0.7247
Li 0.3886 0.7240 0.3550
Li 0.8886 0.7238 0.8549
Li 0.2258 0.8974 0.0080
Li 0.7723 0.1039 0.0078
Li 0.7258 0.8973 0.5080
Li 0.2723 0.1038 0.5077
Na 0.1269 0.2537 0.1364
Na 0.6269 0.2536 0.6363
Na 0.6202 0.7549 0.1153
Na 0.3806 0.2503 0.8807
Na 0.1202 0.7548 0.6153
Na 0.8805 0.2504 0.3807
C 0.5283 0.9522 0.7732
C 0.4760 0.0420 0.2424
C 0.0283 0.9522 0.2732
C 0.9759 0.0419 0.7424

Output
Calculated density ... 2.76 g/cm³
Energy of formation ... -230.9 kJ/mol of atoms
Uncorrected energy ... -6.76 eV per atom